Crystalline CsXe3O3F13 at its relaxed geometry. Source: the Materials Project, functional GGA-PBE.

abc: 14.3782 14.3782 14.3782
angles: 90.00 90.00 90.00
With the nearest neighbours (Å) after each atom.
Sites, in units of the cell vectors:
Cs  0.0000  0.0000  0.0000  12 F 3.20-3.25
Cs  0.0000  0.0000  0.5000  12 F 3.11-3.28
Cs  0.0000  0.5000  0.0000  12 F 3.11-3.28
Cs  0.0000  0.5000  0.5000  12 F 3.20-3.25
Cs  0.5000  0.0000  0.0000  12 F 3.11-3.28
Cs  0.5000  0.0000  0.5000  12 F 3.20-3.25
Cs  0.5000  0.5000  0.0000  12 F 3.20-3.25
Cs  0.5000  0.5000  0.5000  12 F 3.11-3.28
Xe  0.0239  0.2446  0.7487  1 O 1.84, 4 F 2.04-2.05
Xe  0.0239  0.2554  0.2487  1 O 1.84, 4 F 2.04-2.05
Xe  0.2446  0.7487  0.0239  1 O 1.84, 4 F 2.04-2.05
Xe  0.2446  0.7513  0.5239  1 O 1.84, 4 F 2.04-2.05
Xe  0.2487  0.0239  0.2554  1 O 1.84, 4 F 2.04-2.05
Xe  0.2487  0.4761  0.7554  1 O 1.84, 4 F 2.04-2.05
Xe  0.2513  0.5239  0.2554  1 O 1.84, 4 F 2.04-2.05
Xe  0.2513  0.9761  0.7554  1 O 1.84, 4 F 2.04-2.05
Xe  0.2554  0.2487  0.0239  1 O 1.84, 4 F 2.04-2.05
Xe  0.2554  0.2513  0.5239  1 O 1.84, 4 F 2.04-2.05
Xe  0.4761  0.7446  0.7487  1 O 1.84, 4 F 2.04-2.05
Xe  0.4761  0.7554  0.2487  1 O 1.84, 4 F 2.04-2.05
Xe  0.5239  0.2446  0.7513  1 O 1.84, 4 F 2.04-2.05
Xe  0.5239  0.2554  0.2513  1 O 1.84, 4 F 2.04-2.05
Xe  0.7446  0.7487  0.4761  1 O 1.84, 4 F 2.04-2.05
Xe  0.7446  0.7513  0.9761  1 O 1.84, 4 F 2.04-2.05
Xe  0.7487  0.0239  0.2446  1 O 1.84, 4 F 2.04-2.05
Xe  0.7487  0.4761  0.7446  1 O 1.84, 4 F 2.04-2.05
Xe  0.7513  0.5239  0.2446  1 O 1.84, 4 F 2.04-2.05
Xe  0.7513  0.9761  0.7446  1 O 1.84, 4 F 2.04-2.05
Xe  0.7554  0.2487  0.4761  1 O 1.84, 4 F 2.04-2.05
Xe  0.7554  0.2513  0.9761  1 O 1.84, 4 F 2.04-2.05
Xe  0.9761  0.7446  0.7513  1 O 1.84, 4 F 2.04-2.05
Xe  0.9761  0.7554  0.2513  1 O 1.84, 4 F 2.04-2.05
O  0.1004  0.7441  0.7211  1 Xe 1.84
O  0.1004  0.7559  0.2211  1 Xe 1.84
O  0.2211  0.1004  0.7559  1 Xe 1.84
O  0.2211  0.3996  0.2559  1 Xe 1.84
O  0.2441  0.7211  0.3996  1 Xe 1.84
O  0.2441  0.7789  0.8996  1 Xe 1.84
O  0.2559  0.2211  0.3996  1 Xe 1.84
O  0.2559  0.2789  0.8996  1 Xe 1.84
O  0.2789  0.6004  0.7559  1 Xe 1.84
O  0.2789  0.8996  0.2559  1 Xe 1.84
O  0.3996  0.2441  0.7211  1 Xe 1.84
O  0.3996  0.2559  0.2211  1 Xe 1.84
O  0.6004  0.7441  0.7789  1 Xe 1.84
O  0.6004  0.7559  0.2789  1 Xe 1.84
O  0.7211  0.1004  0.7441  1 Xe 1.84
O  0.7211  0.3996  0.2441  1 Xe 1.84
O  0.7441  0.7211  0.1004  1 Xe 1.84
O  0.7441  0.7789  0.6004  1 Xe 1.84
O  0.7559  0.2211  0.1004  1 Xe 1.84
O  0.7559  0.2789  0.6004  1 Xe 1.84
O  0.7789  0.6004  0.7441  1 Xe 1.84
O  0.7789  0.8996  0.2441  1 Xe 1.84
O  0.8996  0.2441  0.7789  1 Xe 1.84
O  0.8996  0.2559  0.2789  1 Xe 1.84
F  0.0024  0.6866  0.3724  1 Xe 2.04
F  0.0024  0.8134  0.8724  1 Xe 2.04
F  0.0100  0.1203  0.6798  1 Xe 2.05
F  0.0100  0.3797  0.1798  1 Xe 2.05
F  0.0434  0.1348  0.3215  1 Xe 2.04
F  0.0434  0.3652  0.8215  1 Xe 2.04
F  0.0526  0.1714  0.8677  1 Xe 2.05
F  0.0526  0.3286  0.3677  1 Xe 2.05
F  0.1203  0.6798  0.0100  1 Xe 2.05
F  0.1203  0.8202  0.5100  1 Xe 2.05
F  0.1276  0.5024  0.6866  1 Xe 2.04
F  0.1276  0.9976  0.1866  1 Xe 2.04
F  0.1323  0.5526  0.3286  1 Xe 2.05
F  0.1323  0.9474  0.8286  1 Xe 2.05
F  0.1348  0.1785  0.5434  1 Xe 2.04
F  0.1348  0.3215  0.0434  1 Xe 2.04
F  0.1714  0.6323  0.5526  1 Xe 2.05
F  0.1714  0.8677  0.0526  1 Xe 2.05
F  0.1785  0.5434  0.1348  1 Xe 2.04
F  0.1785  0.9566  0.6348  1 Xe 2.04
F  0.1798  0.0100  0.3797  1 Xe 2.05
F  0.1798  0.4900  0.8797  1 Xe 2.05
F  0.1866  0.1276  0.9976  1 Xe 2.04
F  0.1866  0.3724  0.4976  1 Xe 2.04
F  0.1940  0.1940  0.1940  3 Xe 2.72, 6 F 2.96-2.98
F  0.1940  0.3060  0.6940  3 Xe 2.72, 6 F 2.96-2.98
F  0.3060  0.6940  0.1940  3 Xe 2.72, 6 F 2.96-2.98
F  0.3060  0.8060  0.6940  3 Xe 2.72, 6 F 2.96-2.98
F  0.3134  0.6276  0.9976  1 Xe 2.04
F  0.3134  0.8724  0.4976  1 Xe 2.04
F  0.3202  0.5100  0.3797  1 Xe 2.05
F  0.3202  0.9900  0.8797  1 Xe 2.05
F  0.3215  0.0434  0.1348  1 Xe 2.04
F  0.3215  0.4566  0.6348  1 Xe 2.04
F  0.3286  0.1323  0.5526  1 Xe 2.05
F  0.3286  0.3677  0.0526  1 Xe 2.05
F  0.3652  0.6785  0.5434  1 Xe 2.04
F  0.3652  0.8215  0.0434  1 Xe 2.04
F  0.3677  0.0526  0.3286  1 Xe 2.05
F  0.3677  0.4474  0.8286  1 Xe 2.05
F  0.3724  0.0024  0.6866  1 Xe 2.04
F  0.3724  0.4976  0.1866  1 Xe 2.04
F  0.3797  0.1798  0.0100  1 Xe 2.05
F  0.3797  0.3202  0.5100  1 Xe 2.05
F  0.4474  0.6714  0.8677  1 Xe 2.05
F  0.4474  0.8286  0.3677  1 Xe 2.05
F  0.4566  0.6348  0.3215  1 Xe 2.04
F  0.4566  0.8652  0.8215  1 Xe 2.04
F  0.4900  0.6203  0.6798  1 Xe 2.05
F  0.4900  0.8797  0.1798  1 Xe 2.05
F  0.4976  0.1866  0.3724  1 Xe 2.04
F  0.4976  0.3134  0.8724  1 Xe 2.04
F  0.5024  0.6866  0.1276  1 Xe 2.04
F  0.5024  0.8134  0.6276  1 Xe 2.04
F  0.5100  0.1203  0.8202  1 Xe 2.05
F  0.5100  0.3797  0.3202  1 Xe 2.05
F  0.5434  0.1348  0.1785  1 Xe 2.04
F  0.5434  0.3652  0.6785  1 Xe 2.04
F  0.5526  0.1714  0.6323  1 Xe 2.05
F  0.5526  0.3286  0.1323  1 Xe 2.05
F  0.6203  0.6798  0.4900  1 Xe 2.05
F  0.6203  0.8202  0.9900  1 Xe 2.05
F  0.6276  0.5024  0.8134  1 Xe 2.04
F  0.6276  0.9976  0.3134  1 Xe 2.04
F  0.6323  0.5526  0.1714  1 Xe 2.05
F  0.6323  0.9474  0.6714  1 Xe 2.05
F  0.6348  0.1785  0.9566  1 Xe 2.04
F  0.6348  0.3215  0.4566  1 Xe 2.04
F  0.6714  0.6323  0.9474  1 Xe 2.05
F  0.6714  0.8677  0.4474  1 Xe 2.05
F  0.6785  0.5434  0.3652  1 Xe 2.04
F  0.6785  0.9566  0.8652  1 Xe 2.04
F  0.6798  0.0100  0.1203  1 Xe 2.05
F  0.6798  0.4900  0.6203  1 Xe 2.05
F  0.6866  0.1276  0.5024  1 Xe 2.04
F  0.6866  0.3724  0.0024  1 Xe 2.04
F  0.6940  0.1940  0.3060  3 Xe 2.72, 6 F 2.96-2.98
F  0.6940  0.3060  0.8060  3 Xe 2.72, 6 F 2.96-2.98
F  0.8060  0.6940  0.3060  3 Xe 2.72, 6 F 2.96-2.98
F  0.8060  0.8060  0.8060  3 Xe 2.72, 6 F 2.96-2.98
F  0.8134  0.6276  0.5024  1 Xe 2.04
F  0.8134  0.8724  0.0024  1 Xe 2.04
F  0.8202  0.5100  0.1203  1 Xe 2.05
F  0.8202  0.9900  0.6203  1 Xe 2.05
F  0.8215  0.0434  0.3652  1 Xe 2.04
F  0.8215  0.4566  0.8652  1 Xe 2.04
F  0.8286  0.1323  0.9474  1 Xe 2.05
F  0.8286  0.3677  0.4474  1 Xe 2.05
F  0.8652  0.6785  0.9566  1 Xe 2.04
F  0.8652  0.8215  0.4566  1 Xe 2.04
F  0.8677  0.0526  0.1714  1 Xe 2.05
F  0.8677  0.4474  0.6714  1 Xe 2.05
F  0.8724  0.0024  0.8134  1 Xe 2.04
F  0.8724  0.4976  0.3134  1 Xe 2.04
F  0.8797  0.1798  0.4900  1 Xe 2.05
F  0.8797  0.3202  0.9900  1 Xe 2.05
F  0.9474  0.6714  0.6323  1 Xe 2.05
F  0.9474  0.8286  0.1323  1 Xe 2.05
F  0.9566  0.6348  0.1785  1 Xe 2.04
F  0.9566  0.8652  0.6785  1 Xe 2.04
F  0.9900  0.6203  0.8202  1 Xe 2.05
F  0.9900  0.8797  0.3202  1 Xe 2.05
F  0.9976  0.1866  0.1276  1 Xe 2.04
F  0.9976  0.3134  0.6276  1 Xe 2.04

=====

Crystalline CsPF6 at its relaxed geometry. Source: the Materials Project, functional GGA-PBE.

abc: 5.8824 5.8824 5.8824
angles: 60.02 60.02 60.02
With the nearest neighbours (Å) after each atom.
Sites, in units of the cell vectors:
Cs  0.0000  0.0000  0.0000  12 F 3.30
P  0.5000  0.5000  0.5000  6 F 1.64
F  0.1707  0.5660  0.5660  1 P 1.64
F  0.4340  0.4340  0.8293  1 P 1.64
F  0.4340  0.8293  0.4340  1 P 1.64
F  0.5660  0.1707  0.5660  1 P 1.64
F  0.5660  0.5660  0.1707  1 P 1.64
F  0.8293  0.4340  0.4340  1 P 1.64

=====

Crystalline CsPbF3 at its relaxed geometry. Source: the Materials Project, functional GGA-PBE.

abc: 4.9025 4.9025 4.9025
angles: 90.00 90.00 90.00
With the nearest neighbours (Å) after each atom.
Sites, in units of the cell vectors:
Cs  0.0000  0.0000  0.0000  12 F 3.47
Pb  0.5000  0.5000  0.5000  6 F 2.45
F  0.0000  0.5000  0.5000  2 Pb 2.45
F  0.5000  0.0000  0.5000  2 Pb 2.45
F  0.5000  0.5000  0.0000  2 Pb 2.45

=====

Crystalline CsPbF3 at its relaxed geometry. Source: the Materials Project, functional GGA-PBE.

## Properties
largest piezoelectric modulus	0.5	C/m²

abc: 6.8378 6.8378 6.8378
angles: 61.20 61.20 61.20
With the nearest neighbours (Å) after each atom.
Sites, in units of the cell vectors:
Cs  0.0000  0.0000  0.0000  6 F 3.12-3.23
Cs  0.5000  0.5000  0.5000  6 F 3.12-3.23
Pb  0.2460  0.2460  0.2460  6 F 2.41-2.54
Pb  0.7460  0.7460  0.7460  6 F 2.41-2.54
F  0.0549  0.9497  0.4669  2 Pb 2.41-2.54
F  0.4497  0.5549  0.9669  2 Pb 2.41-2.54
F  0.4669  0.0549  0.9497  2 Pb 2.41-2.54
F  0.5549  0.9669  0.4497  2 Pb 2.41-2.54
F  0.9497  0.4669  0.0549  2 Pb 2.41-2.54
F  0.9669  0.4497  0.5549  2 Pb 2.41-2.54

=====

Crystalline Cs2RbPbF6 at its relaxed geometry. Source: the Materials Project, functional GGA-PBE.

abc: 7.0243 7.0243 7.0243
angles: 60.00 60.00 60.00
With the nearest neighbours (Å) after each atom.
Sites, in units of the cell vectors:
Cs  0.2500  0.2500  0.2500  12 F 3.52
Cs  0.7500  0.7500  0.7500  12 F 3.52
Rb  0.0000  0.0000  0.0000  6 F 2.70
Pb  0.5000  0.5000  0.5000  6 F 2.27
F  0.2715  0.2715  0.7285  1 Pb 2.27
F  0.2715  0.7285  0.2715  1 Pb 2.27
F  0.2715  0.7285  0.7285  1 Pb 2.27
F  0.7285  0.2715  0.2715  1 Pb 2.27
F  0.7285  0.2715  0.7285  1 Pb 2.27
F  0.7285  0.7285  0.2715  1 Pb 2.27

=====

Crystalline Cs2PdF6 at its relaxed geometry. Source: the Materials Project, functional GGA-PBE.

abc: 6.5228 6.5228 6.5228
angles: 60.00 60.00 60.00
With the nearest neighbours (Å) after each atom.
Sites, in units of the cell vectors:
Cs  0.2500  0.2500  0.2500  12 F 3.28
Cs  0.7500  0.7500  0.7500  12 F 3.28
Pd  0.0000  0.0000  0.0000  6 F 1.96
F  0.2122  0.2122  0.7878  1 Pd 1.96
F  0.2122  0.7878  0.2122  1 Pd 1.96
F  0.2122  0.7878  0.7878  1 Pd 1.96
F  0.7878  0.2122  0.2122  1 Pd 1.96
F  0.7878  0.2122  0.7878  1 Pd 1.96
F  0.7878  0.7878  0.2122  1 Pd 1.96

=====

Crystalline Cs3PdF5 at its relaxed geometry. Source: the Materials Project, functional GGA-PBE.

abc: 8.0383 8.0383 6.8001
angles: 90.00 90.00 90.00
With the nearest neighbours (Å) after each atom.
Sites, in units of the cell vectors:
Cs  0.0000  0.0000  0.0000  10 F 3.40-3.46
Cs  0.1777  0.3223  0.5000  8 F 2.96-3.19
Cs  0.3223  0.8223  0.5000  8 F 2.96-3.19
Cs  0.5000  0.5000  0.0000  10 F 3.40-3.46
Cs  0.6777  0.1777  0.5000  8 F 2.96-3.19
Cs  0.8223  0.6777  0.5000  8 F 2.96-3.19
Pd  0.0000  0.5000  0.0000  4 F 2.00
Pd  0.5000  0.0000  0.0000  4 F 2.00
F  0.0000  0.0000  0.5000  4 Cs 2.96
F  0.1263  0.6263  0.2047  1 Pd 2.00
F  0.1263  0.6263  0.7953  1 Pd 2.00
F  0.3737  0.1263  0.2047  1 Pd 2.00
F  0.3737  0.1263  0.7953  1 Pd 2.00
F  0.5000  0.5000  0.5000  4 Cs 2.96
F  0.6263  0.8737  0.2047  1 Pd 2.00
F  0.6263  0.8737  0.7953  1 Pd 2.00
F  0.8737  0.3737  0.2047  1 Pd 2.00
F  0.8737  0.3737  0.7953  1 Pd 2.00

=====

E values (in eV per atom) by entry order: -2.42; -4.99; -4.57; -4.58; -4.27; -4.16; -4.18.
DFT formation energy values (in meV/atom) by entry order: -784; -3113; -2779; -2784; -2754; -2415; -2501.